A relaxed structure of NaH2BrO5. Source: the Materials Project database, functional PBE.

Output
Density (kg/m3): 2132
Calculated total energy (eV/cell): -151.58
Distance to the lowest polymorph of the same formula (meV/atom): 50
Energy of formation from the pure elements (eV per atom): -0.761

a b c (Å): 8.9917 8.9917 12.7625
angles (deg): 70.95 70.95 36.49
Element x y z (fractional)
Na  0.5000  0.0000  0.0000
Na  0.6008  0.3992  0.7500
Na  0.3992  0.6008  0.2500
Na  0.0000  0.5000  0.5000
O  0.7263  0.3933  0.3541
O  0.2737  0.6067  0.6459
O  0.2319  0.1621  0.8715
O  0.7794  0.1138  0.6049
O  0.0317  0.7102  0.3547
O  0.8862  0.2206  0.8951
O  0.7681  0.8379  0.1285
O  0.6067  0.2737  0.1459
O  0.8379  0.7681  0.6285
O  0.8948  0.7645  0.9051
O  0.1621  0.2319  0.3715
O  0.2355  0.1052  0.5949
O  0.7645  0.8948  0.4051
O  0.1052  0.2355  0.0949
O  0.2898  0.9683  0.1453
O  0.3933  0.7263  0.8541
O  0.7102  0.0317  0.8547
O  0.9683  0.2898  0.6453
O  0.2206  0.8862  0.3951
O  0.1138  0.7794  0.1049
Br  0.9013  0.8549  0.6851
Br  0.0987  0.1451  0.3149
Br  0.8549  0.9013  0.1851
Br  0.1451  0.0987  0.8149
H  0.9240  0.7653  0.9737
H  0.5077  0.3342  0.0906
H  0.7653  0.9240  0.4737
H  0.0760  0.2347  0.0263
H  0.3342  0.5077  0.5906
H  0.4923  0.6658  0.9094
H  0.2347  0.0760  0.5263
H  0.6658  0.4923  0.4094